Compound: AlCo2Si2
Source: the Materials Project database
Functional: r²SCAN
Structure: relaxed

abc: 3.8894 3.8894 4.5878
angles: 90.00 90.00 120.00
Fractional positions:
Al  0.0000  0.0000  0.0000
Co  0.3333  0.6667  0.8379
Co  0.6667  0.3333  0.1621
Si  0.3333  0.6667  0.3481
Si  0.6667  0.3333  0.6519

Calculated values
* VASP energy: -53.10 eV for the cell shown
* theoretical density: 5554 kg/m³